{"formula": "SrNdNiBiO6", "functional": "PBE with a Hubbard U", "state": "optimized geometry", "delta_e_f_ev_per_atom": -2.143, "lattice": [[4.373, -0.068, -3.771], [-0.288, 3.177, -4.814], [3.371, 4.650, -0.597]], "species": ["Ni", "O", "O", "Bi", "O", "O", "O", "O", "Nd", "Sr"], "fractional_positions": [[0.500, 0.500, 0.500], [0.746, 0.254, 0.746], [0.254, 0.746, 0.746], [0.000, 0.000, 0.000], [0.746, 0.254, 0.254], [0.254, 0.746, 0.254], [0.746, 0.746, 0.254], [0.254, 0.254, 0.746], [0.750, 0.750, 0.750], [0.250, 0.250, 0.250]]}

{"formula": "MgCuW2O7", "functional": "PBE with a Hubbard U", "state": "optimized geometry", "delta_e_f_ev_per_atom": -2.016, "lattice": [[8.941, 0.000, 0.000], [0.000, 9.247, -1.276], [0.000, -0.915, 11.337]], "species": ["W", "O", "Mg", "W", "O", "O", "O", "O", "O", "Mg", "O", "O", "O", "Mg", "O", "Mg", "O", "O", "W", "Cu", "O", "W", "O", "O", "O", "O", "W", "O", "O", "O", "O", "O", "W", "Cu", "O", "O", "O", "O", "Mg", "Cu", "O", "O", "O", "W", "Cu", "Cu", "W", "O", "W", "Mg", "W", "O", "O", "O", "O", "O", "Cu", "O", "O", "O", "O", "O", "W", "W", "O", "O"], "fractional_positions": [[0.734, 0.462, 0.039], [0.909, 0.447, 0.114], [0.065, 0.500, 0.250], [0.247, 0.793, 0.206], [0.713, 0.663, 0.082], [0.091, 0.447, 0.614], [0.237, 0.110, 0.693], [0.412, 0.921, 0.551], [0.237, 0.890, 0.807], [0.431, 0.847, 0.923], [0.575, 0.797, 0.783], [0.431, 0.409, 0.615], [0.569, 0.591, 0.385], [0.569, 0.153, 0.077], [0.199, 0.000, 0.250], [0.935, 0.500, 0.750], [0.261, 0.226, 0.471], [0.739, 0.226, 0.971], [0.266, 0.538, 0.961], [0.067, 0.179, 0.595], [0.588, 0.079, 0.449], [0.753, 0.793, 0.706], [0.412, 0.079, 0.949], [0.425, 0.797, 0.283], [0.923, 0.273, 0.722], [0.744, 0.446, 0.866], [0.734, 0.538, 0.461], [0.744, 0.554, 0.634], [0.801, 0.000, 0.750], [0.057, 0.134, 0.949], [0.261, 0.774, 0.029], [0.588, 0.921, 0.051], [0.235, 0.121, 0.874], [0.933, 0.179, 0.095], [0.091, 0.553, 0.886], [0.569, 0.409, 0.115], [0.256, 0.554, 0.134], [0.923, 0.727, 0.778], [0.431, 0.153, 0.577], [0.434, 0.500, 0.250], [0.057, 0.866, 0.551], [0.256, 0.446, 0.366], [0.077, 0.727, 0.278], [0.247, 0.207, 0.294], [0.566, 0.500, 0.750], [0.067, 0.821, 0.905], [0.765, 0.121, 0.374], [0.077, 0.273, 0.222], [0.235, 0.879, 0.626], [0.569, 0.847, 0.423], [0.753, 0.207, 0.794], [0.287, 0.337, 0.918], [0.763, 0.110, 0.193], [0.713, 0.337, 0.418], [0.763, 0.890, 0.307], [0.909, 0.553, 0.386], [0.933, 0.821, 0.405], [0.431, 0.591, 0.885], [0.425, 0.203, 0.217], [0.739, 0.774, 0.529], [0.943, 0.866, 0.051], [0.575, 0.203, 0.717], [0.765, 0.879, 0.126], [0.266, 0.462, 0.539], [0.287, 0.663, 0.582], [0.943, 0.134, 0.449]]}

What is the formula in the first record?
SrNdNiBiO6

Which formula does entry 1 have?
SrNdNiBiO6

Which formula does entry 1 have?
SrNdNiBiO6